Here is an optimized crystal structure of CaP4Br12O4 from Materials Project. Energies are from PBE-GGA.

Calculated values
- space-group type = P1 (1)
- ΔH_f (0 K) (meV per atom) = -1080

Cell lengths 6.937, 10.387, 10.882 Å; angles 90.39, 89.59, 99.28 degrees
Atoms (fractional coordinates):
O  0.934  0.731  0.246
Ca  0.627  0.784  0.242
Br  0.845  0.028  0.243
Br  0.208  0.355  0.407
P  0.628  0.684  0.746
Br  0.391  0.516  0.747
O  0.423  0.176  0.242
Br  0.319  0.767  0.418
Br  0.815  0.653  0.905
Br  0.642  0.461  0.245
O  0.563  0.812  0.747
Br  0.316  0.775  0.070
Br  0.709  0.147  0.907
Br  0.711  0.143  0.585
P  0.107  0.842  0.247
Br  0.088  0.036  0.746
P  0.901  0.188  0.745
P  0.372  0.308  0.244
Br  0.816  0.651  0.588
O  0.013  0.322  0.744
Br  0.208  0.359  0.085